No. 1
The following is a PBE+U calculation of crystalline LiFeO3 at its relaxed geometry, from Materials Project.

Cell: 5.799 5.799 6.195 Å, 72.88 72.88 29.07°
Sites, in units of the cell vectors:
O (0.214, 0.214, 0.354)
O (0.504, 0.504, 0.380)
O (0.151, 0.151, 0.999)
Fe (0.674, 0.674, 0.196)
O (0.496, 0.496, 0.620)
Li (0.889, 0.889, 0.321)
O (0.786, 0.786, 0.646)
Li (0.111, 0.111, 0.679)
O (0.849, 0.849, 0.001)
Fe (0.326, 0.326, 0.804)

The value obtained for the formation energy is -1132.9 meV/atom.


No. 2
The following is a PBE+U calculation of crystalline K2Fe2P2O7F2 at its relaxed geometry, from Materials Project.

Cell: 6.669 9.744 16.586 Å, 90.00 90.00 90.00°
Sites, in units of the cell vectors:
Fe (0.000, 0.250, 0.157)
O (0.242, 0.612, 0.401)
F (0.667, 0.657, 0.261)
Fe (0.500, 0.250, 0.657)
P (0.726, 0.788, 0.972)
O (0.758, 0.888, 0.401)
K (0.088, 0.526, 0.670)
K (0.588, 0.974, 0.170)
P (0.774, 0.788, 0.472)
O (0.758, 0.388, 0.599)
Fe (0.500, 0.000, 0.500)
P (0.274, 0.712, 0.972)
O (0.742, 0.888, 0.901)
O (0.176, 0.349, 0.055)
Fe (0.000, 0.500, 0.000)
O (0.312, 0.650, 0.549)
O (0.824, 0.151, 0.055)
O (0.312, 0.150, 0.451)
O (0.324, 0.349, 0.555)
P (0.226, 0.712, 0.472)
P (0.274, 0.212, 0.028)
F (0.333, 0.843, 0.261)
O (0.500, 0.750, 0.996)
O (0.000, 0.750, 0.496)
K (0.912, 0.474, 0.330)
Fe (0.000, 0.000, 0.000)
O (0.688, 0.350, 0.451)
F (0.333, 0.343, 0.739)
O (0.676, 0.651, 0.445)
O (0.324, 0.849, 0.445)
F (0.167, 0.343, 0.239)
K (0.912, 0.974, 0.670)
O (0.176, 0.849, 0.945)
O (0.258, 0.612, 0.901)
Fe (0.500, 0.500, 0.500)
P (0.774, 0.288, 0.528)
O (0.688, 0.850, 0.549)
O (0.242, 0.112, 0.599)
O (0.258, 0.112, 0.099)
K (0.588, 0.474, 0.830)
K (0.412, 0.526, 0.170)
O (0.742, 0.388, 0.099)
P (0.226, 0.212, 0.528)
O (0.812, 0.350, 0.951)
F (0.667, 0.157, 0.739)
O (0.000, 0.250, 0.504)
O (0.188, 0.650, 0.049)
Fe (0.000, 0.750, 0.843)
K (0.088, 0.026, 0.330)
Fe (0.500, 0.750, 0.343)
F (0.167, 0.843, 0.761)
O (0.824, 0.651, 0.945)
F (0.833, 0.657, 0.761)
K (0.412, 0.026, 0.830)
F (0.833, 0.157, 0.239)
P (0.726, 0.288, 0.028)
O (0.500, 0.250, 0.004)
O (0.812, 0.850, 0.049)
O (0.676, 0.151, 0.555)
O (0.188, 0.150, 0.951)

The value obtained for the formation energy is -2482.3 meV/atom. The calculation puts the energy above the lowest structure with this stoichiometry at 0 meV/atom.


No. 3
The following is a PBE+U calculation of crystalline MgV4O8 at its relaxed geometry, from Materials Project.

Cell: 5.278 5.279 6.447 Å, 90.00 90.00 65.79°
Sites, in units of the cell vectors:
Mg (0.657, 0.661, 0.250)
V (0.346, 0.347, 0.250)
V (0.647, 0.648, 0.750)
O (0.281, 0.782, 0.750)
V (0.002, 0.003, 0.506)
O (0.232, 0.231, 0.459)
O (0.726, 0.241, 0.250)
O (0.759, 0.759, 0.978)
O (0.781, 0.281, 0.750)
V (0.002, 0.003, 0.994)
O (0.237, 0.728, 0.250)
O (0.759, 0.759, 0.522)
O (0.232, 0.231, 0.041)

The value obtained for the formation energy is -2418.3 meV/atom. The calculation puts the energy above the lowest structure with this stoichiometry at 124 meV/atom.